Pu2O3 | r2SCAN | optimized geometry

Geometry as POSCAR:
```
Pu2O3
1.0
-6.374 6.194 3.367
0.761 -7.373 5.941
8.433 4.300 -0.796
Pu O
16 24
Direct
0.227 0.750 0.977
0.977 0.227 0.750
0.773 0.250 0.023
0.250 0.023 0.773
0.727 0.750 0.477
0.750 0.977 0.227
0.250 0.523 0.273
0.750 0.477 0.727
0.000 0.500 0.500
0.273 0.250 0.523
0.523 0.273 0.250
0.477 0.727 0.750
0.023 0.773 0.250
0.000 0.000 0.000
0.500 0.000 0.500
0.500 0.500 0.000
0.260 0.993 0.526
0.760 0.234 0.267
0.235 0.268 0.761
0.507 0.768 0.532
0.765 0.534 0.507
0.265 0.026 0.032
0.033 0.266 0.026
0.473 0.742 0.007
0.735 0.242 0.768
0.467 0.493 0.233
0.027 0.033 0.269
0.765 0.732 0.239
0.994 0.526 0.261
0.735 0.974 0.968
0.235 0.466 0.493
0.533 0.507 0.767
0.006 0.474 0.739
0.973 0.967 0.731
0.740 0.007 0.474
0.967 0.734 0.974
0.265 0.758 0.232
0.493 0.232 0.468
0.527 0.258 0.993
0.240 0.766 0.733
```

**Density**: 10.79 Mg/m³
**E_form**: -17.6 eV per formula unit
**Electronic total energy**: -41.646 eV/atom
**Space-group type**: C2/c, No. 15
**Total magnetic moment**: 10.00 μB/f.u.